The following is a GGA-PBE calculation of crystalline LiMgAl3Se6O24 at its relaxed geometry, from the Materials Project.

Cell and atoms, written as POSCAR:
```
LiMgAl3Se6O24
1.0
8.5304 0.0000 0.0000
0.0408 9.0911 0.0000
0.0148 1.0962 12.4178
Li Mg Al Se O
2 2 6 12 48
direct
0.7756 0.5985 0.0301
0.3315 0.7263 0.9072
0.4973 0.7890 0.1459
0.9986 0.7074 0.8457
0.5015 0.7993 0.6462
0.4992 0.2174 0.8556
0.9976 0.2882 0.6413
0.0020 0.2967 0.1521
0.0017 0.7137 0.3603
0.4984 0.1948 0.3513
0.8569 0.6410 0.6034
0.7905 0.0002 0.2519
0.6483 0.1368 0.6067
0.3565 0.1521 0.1054
0.8547 0.3518 0.8951
0.2928 0.5009 0.7479
0.7139 0.4914 0.2511
0.1340 0.6389 0.1113
0.6412 0.8629 0.8853
0.3519 0.8566 0.3978
0.2222 0.0098 0.7460
0.1430 0.3561 0.3948
0.8132 0.6078 0.3201
0.6712 0.6589 0.6438
0.9874 0.7034 0.6856
0.8796 0.7353 0.4839
0.9386 0.9151 0.3188
0.6548 0.9527 0.6338
0.6679 0.0574 0.3459
0.5862 0.0315 0.9078
0.8562 0.1415 0.1697
0.3100 0.1346 0.8153
0.5262 0.1919 0.5062
0.8305 0.1871 0.5758
0.1692 0.1656 0.1429
0.5889 0.2184 0.7138
0.4783 0.2153 0.1972
0.9215 0.2796 0.7864
0.3908 0.2528 0.9894
0.6750 0.2926 0.9268
0.9782 0.2991 0.9950
0.6513 0.3555 0.3384
0.4465 0.4155 0.8082
0.8820 0.4601 0.5929
0.8330 0.4368 0.1508
0.1497 0.4556 0.1378
0.8377 0.5360 0.8802
0.1951 0.5700 0.8493
0.1136 0.5355 0.4057
0.5736 0.5733 0.1770
0.3568 0.6363 0.6600
0.9984 0.6880 0.0183
0.3077 0.6952 0.0640
0.6130 0.7519 0.9975
0.0909 0.7242 0.2201
0.5094 0.7895 0.8019
0.4161 0.7687 0.2971
0.8237 0.8623 0.8447
0.1693 0.8078 0.4320
0.4770 0.8080 0.4977
0.7044 0.8889 0.1734
0.1692 0.8730 0.8368
0.3816 0.9753 0.0933
0.3359 0.9466 0.6503
0.3471 0.0414 0.3695
0.0667 0.0881 0.6853
0.1096 0.2603 0.5121
0.0188 0.2899 0.3068
0.3317 0.3391 0.3614
0.1865 0.3912 0.6781
```

Output
symmetry: P1 (1)
density: 3.34 g/cm³
formation enthalpy at 0 K: -1781 meV per atom